The following is a PBE+U calculation of a relaxed Mn2GeO4 crystal, from the Materials Project database.

Lattice parameters (Å, degrees): 5.3467 9.4138 3.0122 90.00 90.00 90.00
Last column: nearest neighbours and their distance in Å.
Space group Pbam (No. 55)
Inequivalent atoms, fractional coordinates:
1 Mn 0.0635 0.1767 0.0000 [4 per cell]  6 O 2.18-2.34
2 Ge 0.0000 0.5000 0.5000 [2 per cell]  6 O 1.89-1.99
3 O 0.1301 0.6872 0.5000 [4 per cell]  1 Ge 1.89
4 O 0.2306 0.4569 0.0000 [4 per cell]  2 Ge 1.99, 1 Mn 2.18

Output
- energy relative to the lowest polymorph listed for this composition (eV per formula unit) = 0.47
- density (Mg/m³) = 5.400
- V (Å³/atom) = 10.83
- electronic total energy (eV/atom) = -7.284
- total moment (μB per atom) = 1.43
- E (MP2020) (eV for the cell shown) = -114.1